1.
Below is crystalline K2AlF5 at its relaxed geometry, with properties calculated at the PBE-GGA level.

POSCAR file:
```
K2AlF5
1.0
6.037 0.000 0.000
0.000 6.037 0.000
0.000 0.000 3.752
K Al F
2 1 5
Direct
0.000 0.500 0.500
0.500 0.000 0.500
0.000 0.000 0.000
0.788 0.788 0.000
0.788 0.212 0.000
0.212 0.788 0.000
0.000 0.000 0.500
0.212 0.212 0.000
```

Values from the calculation:
* volume: 17.1 A^3/atom
* energy of formation from the pure elements: -3514 meV/atom
* symmetry: P4/mmm

---

2.
Below is crystalline KAlF4 at its relaxed geometry, with properties calculated at the PBE-GGA level.

POSCAR file:
```
KAlF4
1.0
7.359 0.000 0.000
0.000 8.389 0.000
0.000 0.000 12.089
K Al F
8 8 32
Direct
0.250 0.575 0.605
0.250 0.075 0.895
0.750 0.425 0.395
0.750 0.925 0.105
0.250 0.627 0.250
0.250 0.127 0.250
0.750 0.373 0.750
0.750 0.873 0.750
0.496 0.131 0.582
0.004 0.631 0.918
0.996 0.869 0.418
0.504 0.369 0.082
0.504 0.869 0.418
0.996 0.369 0.082
0.004 0.131 0.582
0.496 0.631 0.918
0.505 0.095 0.428
0.995 0.595 0.072
0.005 0.905 0.572
0.495 0.405 0.928
0.495 0.905 0.572
0.005 0.405 0.928
0.995 0.095 0.428
0.505 0.595 0.072
0.499 0.121 0.728
0.001 0.621 0.772
0.999 0.879 0.272
0.501 0.379 0.228
0.501 0.879 0.272
0.999 0.379 0.228
0.001 0.121 0.728
0.499 0.621 0.772
0.511 0.339 0.567
0.989 0.839 0.933
0.011 0.661 0.433
0.489 0.161 0.067
0.489 0.661 0.433
0.011 0.161 0.067
0.989 0.339 0.567
0.511 0.839 0.933
0.750 0.117 0.585
0.750 0.617 0.915
0.250 0.883 0.415
0.250 0.383 0.085
0.250 0.134 0.571
0.250 0.634 0.929
0.750 0.866 0.429
0.750 0.366 0.071
```

Values from the calculation:
* volume: 15.5 A^3/atom
* energy of formation from the pure elements: -3645 meV/atom
* symmetry: Pnma

---

3.
Below is crystalline K2LiAlF6 at its relaxed geometry, with properties calculated at the PBE-GGA level.

POSCAR file:
```
K2LiAlF6
1.0
2.847 -4.931 0.000
2.847 4.931 0.000
0.000 0.000 13.931
K Li Al F
6 3 3 18
Direct
0.667 0.333 0.411
0.000 0.000 0.748
0.667 0.333 0.106
0.000 0.000 0.252
0.333 0.667 0.589
0.333 0.667 0.894
0.667 0.333 0.857
0.333 0.667 0.143
0.000 0.000 0.500
0.333 0.667 0.339
0.667 0.333 0.661
0.000 0.000 0.000
0.306 0.153 0.924
0.481 0.519 0.258
0.519 0.481 0.742
0.694 0.847 0.076
0.180 0.359 0.413
0.153 0.306 0.076
0.820 0.180 0.587
0.180 0.820 0.413
0.847 0.694 0.924
0.481 0.962 0.258
0.519 0.038 0.742
0.038 0.519 0.258
0.962 0.481 0.742
0.847 0.153 0.924
0.359 0.180 0.587
0.641 0.820 0.413
0.820 0.641 0.587
0.153 0.847 0.076
```

Values from the calculation:
* volume: 13.0 A^3/atom
* energy of formation from the pure elements: -3468 meV/atom
* symmetry: P-3m1

---

4.
Below is crystalline K2LiAlF6 at its relaxed geometry, with properties calculated at the PBE-GGA level.

POSCAR file:
```
K2LiAlF6
1.0
0.534 -2.872 4.827
4.573 -3.180 0.900
3.835 1.591 3.820
K Li Al F
2 1 1 6
Direct
0.250 0.250 0.250
0.750 0.750 0.750
0.500 0.500 0.500
0.000 0.000 0.000
0.769 0.769 0.231
0.231 0.769 0.769
0.231 0.231 0.769
0.769 0.231 0.769
0.231 0.769 0.231
0.769 0.231 0.231
```

Values from the calculation:
* volume: 12.7 A^3/atom
* energy of formation from the pure elements: -3467 meV/atom
* symmetry: Fm-3m

---

5.
Below is crystalline K2LiAlF6 at its relaxed geometry, with properties calculated at the PBE-GGA level.

POSCAR file:
```
K2LiAlF6
1.0
9.487 -2.858 0.000
9.487 2.858 0.000
8.626 0.000 4.874
K Li Al F
4 2 2 12
Direct
0.720 0.720 0.720
0.280 0.280 0.280
0.872 0.872 0.872
0.128 0.128 0.128
0.597 0.597 0.597
0.403 0.403 0.403
0.500 0.500 0.500
0.000 0.000 0.000
0.190 0.190 0.732
0.732 0.190 0.190
0.190 0.732 0.190
0.810 0.268 0.810
0.165 0.609 0.609
0.609 0.609 0.165
0.609 0.165 0.609
0.391 0.835 0.391
0.835 0.391 0.391
0.391 0.391 0.835
0.268 0.810 0.810
0.810 0.810 0.268
```

Values from the calculation:
* volume: 13.2 A^3/atom
* energy of formation from the pure elements: -3468 meV/atom
* symmetry: R-3m

---

6.
Below is crystalline K3Li5Al6Si10O30F6 at its relaxed geometry, with properties calculated at the PBE-GGA level.

POSCAR file:
```
K3Li5Al6Si10O30F6
1.0
-2.215 -3.947 2.858
3.340 -3.629 2.324
1.194 17.641 27.437
K Li Al Si O F
3 5 6 10 30 6
Direct
0.639 0.586 0.293
0.500 0.500 0.000
0.361 0.414 0.707
0.500 0.000 0.500
0.856 0.826 0.212
0.220 0.026 0.195
0.780 0.974 0.805
0.144 0.174 0.788
0.054 0.715 0.119
0.162 0.721 0.511
0.501 0.535 0.817
0.838 0.279 0.489
0.499 0.465 0.183
0.946 0.285 0.881
0.408 0.891 0.910
0.703 0.727 0.743
0.462 0.743 0.587
0.193 0.916 0.413
0.914 0.898 0.030
0.297 0.273 0.257
0.086 0.102 0.970
0.807 0.084 0.587
0.538 0.257 0.413
0.592 0.109 0.090
0.036 0.578 0.035
0.449 0.733 0.536
0.870 0.090 0.397
0.674 0.847 0.121
0.168 0.733 0.168
0.562 0.068 0.040
0.512 0.806 0.788
0.637 0.411 0.600
0.513 0.870 0.703
0.145 0.947 0.466
0.374 0.080 0.402
0.113 0.610 0.258
0.959 0.012 0.079
0.652 0.602 0.895
0.938 0.834 0.750
0.626 0.920 0.598
0.363 0.589 0.400
0.062 0.166 0.250
0.348 0.398 0.105
0.041 0.988 0.921
0.326 0.153 0.879
0.130 0.910 0.603
0.887 0.390 0.742
0.855 0.053 0.534
0.487 0.130 0.297
0.964 0.422 0.965
0.488 0.194 0.212
0.438 0.932 0.960
0.832 0.267 0.832
0.551 0.267 0.464
0.160 0.419 0.530
0.598 0.665 0.213
0.840 0.581 0.470
0.195 0.698 0.847
0.805 0.302 0.153
0.402 0.335 0.787
```

Values from the calculation:
* volume: 14.0 A^3/atom
* energy of formation from the pure elements: -2816 meV/atom
* symmetry: P-1

---

7.
Below is crystalline KLiAl2Si4O10F2 at its relaxed geometry, with properties calculated at the PBE-GGA level.

POSCAR file:
```
KLiAl2Si4O10F2
1.0
0.659 -3.007 4.355
2.834 4.478 -0.598
-6.041 5.817 6.137
K Li Al Si O F
1 1 2 4 10 2
Direct
0.000 0.000 0.000
0.500 0.500 0.500
0.830 0.170 0.500
0.170 0.830 0.500
0.587 0.250 0.231
0.413 0.750 0.769
0.750 0.413 0.769
0.250 0.587 0.231
0.430 0.942 0.168
0.570 0.058 0.832
0.058 0.570 0.832
0.942 0.430 0.168
0.537 0.175 0.396
0.463 0.825 0.604
0.825 0.463 0.604
0.175 0.537 0.396
0.455 0.455 0.175
0.545 0.545 0.825
0.886 0.886 0.408
0.114 0.114 0.592
```

Values from the calculation:
* volume: 12.6 A^3/atom
* energy of formation from the pure elements: -2942 meV/atom
* symmetry: C2/m

---

8.
Below is crystalline KMg3AlSi3O11F at its relaxed geometry, with properties calculated at the PBE-GGA level.

POSCAR file:
```
KMg3AlSi3O11F
1.0
-1.855 2.374 4.488
-0.874 -2.912 4.470
18.655 3.431 9.089
K Mg Al Si O F
2 6 2 6 22 2
Direct
0.743 0.912 0.769
0.912 0.743 0.269
0.668 0.171 0.999
0.171 0.668 0.499
0.835 0.335 0.499
0.335 0.835 0.999
0.491 0.003 0.500
0.003 0.491 0.000
0.371 0.551 0.867
0.551 0.371 0.367
0.217 0.043 0.364
0.043 0.217 0.864
0.119 0.291 0.633
0.291 0.119 0.133
0.453 0.626 0.633
0.626 0.453 0.133
0.949 0.278 0.161
0.278 0.949 0.661
0.208 0.391 0.835
0.391 0.208 0.335
0.276 0.451 0.660
0.451 0.276 0.160
0.727 0.383 0.836
0.383 0.727 0.336
0.192 0.018 0.444
0.018 0.192 0.944
0.142 0.317 0.555
0.317 0.142 0.055
0.476 0.657 0.554
0.657 0.476 0.054
0.904 0.216 0.335
0.216 0.904 0.835
0.777 0.447 0.661
0.447 0.777 0.161
0.519 0.345 0.452
0.345 0.519 0.952
0.993 0.813 0.044
0.813 0.993 0.544
0.850 0.674 0.453
0.674 0.850 0.953
```

Values from the calculation:
* volume: 13.1 A^3/atom
* energy of formation from the pure elements: -3142 meV/atom
* symmetry: Cc

---

9.
Below is crystalline KMg3AlSi3O10F2 at its relaxed geometry, with properties calculated at the PBE-GGA level.

POSCAR file:
```
KMg3AlSi3O10F2
1.0
-0.022 1.478 5.157
3.922 1.679 -3.252
-5.546 7.741 -4.102
K Mg Al Si O F
1 3 1 3 10 2
Direct
0.490 0.001 0.968
0.332 0.659 0.506
0.674 0.337 0.505
0.996 0.001 0.505
0.091 0.334 0.773
0.759 0.666 0.778
0.911 0.669 0.230
0.247 0.335 0.230
0.999 0.989 0.834
0.046 0.001 0.172
0.033 0.333 0.601
0.704 0.666 0.613
0.960 0.669 0.389
0.302 0.335 0.389
0.880 0.448 0.834
0.458 0.566 0.834
0.072 0.514 0.174
0.558 0.488 0.171
0.364 0.001 0.593
0.627 0.989 0.401
```

Values from the calculation:
* volume: 12.7 A^3/atom
* energy of formation from the pure elements: -3329 meV/atom
* symmetry: P1
* offset from the most stable computed form: 0.000 eV per formula unit

---

10.
Below is crystalline KMg3AlSi3O11F at its relaxed geometry, with properties calculated at the PBE-GGA level.

POSCAR file:
```
KMg3AlSi3O11F
1.0
-0.840 1.621 5.068
-0.162 -5.249 -1.201
19.843 -2.762 5.172
K Mg Al Si O F
2 6 2 6 22 2
Direct
0.084 0.910 0.263
0.910 0.084 0.763
0.336 0.169 0.498
0.827 0.659 0.000
0.659 0.827 0.500
0.169 0.336 0.998
0.000 0.501 0.500
0.501 0.000 0.000
0.726 0.212 0.366
0.212 0.726 0.866
0.789 0.279 0.134
0.279 0.789 0.634
0.390 0.549 0.363
0.457 0.612 0.134
0.612 0.457 0.634
0.549 0.390 0.863
0.559 0.392 0.336
0.613 0.436 0.163
0.436 0.613 0.663
0.392 0.559 0.836
0.567 0.880 0.333
0.113 0.432 0.162
0.432 0.113 0.662
0.880 0.567 0.833
0.080 0.398 0.334
0.613 0.936 0.162
0.936 0.613 0.662
0.398 0.080 0.834
0.689 0.182 0.452
0.811 0.307 0.055
0.307 0.811 0.555
0.182 0.689 0.952
0.357 0.523 0.444
0.484 0.641 0.055
0.641 0.484 0.555
0.523 0.357 0.944
0.148 0.981 0.045
0.981 0.148 0.545
0.016 0.842 0.451
0.842 0.016 0.951
```

Values from the calculation:
* volume: 13.0 A^3/atom
* energy of formation from the pure elements: -3141 meV/atom
* symmetry: Cc

---

11.
Below is crystalline KMg3AlSi3O10F2 at its relaxed geometry, with properties calculated at the PBE-GGA level.

POSCAR file:
```
KMg3AlSi3O10F2
1.0
12.408 0.000 0.000
0.000 5.948 0.000
0.000 0.341 7.085
K Mg Al Si O F
2 6 2 6 20 4
Direct
0.499 0.273 0.057
0.999 0.727 0.943
0.540 0.638 0.539
0.611 0.103 0.613
0.831 0.958 0.603
0.040 0.362 0.461
0.111 0.897 0.387
0.331 0.042 0.397
0.767 0.028 0.208
0.267 0.972 0.792
0.769 0.535 0.235
0.666 0.763 0.918
0.801 0.466 0.648
0.166 0.237 0.082
0.301 0.534 0.352
0.269 0.465 0.765
0.426 0.485 0.402
0.829 0.300 0.197
0.661 0.560 0.089
0.840 0.765 0.198
0.773 0.220 0.731
0.709 0.991 0.429
0.675 0.996 0.024
0.776 0.692 0.785
0.719 0.520 0.456
0.073 0.188 0.238
0.926 0.515 0.598
0.273 0.780 0.269
0.175 0.004 0.976
0.276 0.308 0.215
0.329 0.700 0.803
0.219 0.480 0.544
0.161 0.440 0.911
0.340 0.235 0.802
0.209 0.009 0.571
0.573 0.812 0.762
0.556 0.369 0.705
0.481 0.974 0.446
0.981 0.026 0.554
0.056 0.631 0.295
```

Values from the calculation:
* volume: 13.1 A^3/atom
* energy of formation from the pure elements: -3114 meV/atom
* symmetry: P2_1
* offset from the most stable computed form: 4.304 eV per formula unit

---

Q: Which formula does entry 9 have?
A: KMg3AlSi3O10F2

---

Q: Look up the energy of formation from the pure elements of the second one.
A: -3645 meV/atom